Record 1
Crystalline Na2Zr6Zn2Si3S9O48 at its relaxed geometry, computed with GGA-PBE.

Cell: 17.9627 8.9590 23.2786 Å, 90.06 90.04 119.92°
Fractional coordinates of all 210 atoms:
Zr  0.8288  0.3347  0.4760
Zr  0.1668  0.6682  0.8107
Zr  0.5090  0.0088  0.3552
Zr  0.6611  0.6537  0.0218
Zr  0.8323  0.3247  0.6834
Zr  0.6662  0.6636  0.5214
Zr  0.0099  0.0102  0.8562
Zr  0.0087  0.0029  0.1447
Zr  0.1617  0.6676  0.5180
Zr  0.3291  0.3225  0.9779
Zr  0.3259  0.3314  0.1872
Zr  0.1602  0.6693  0.3104
Zr  0.8282  0.3234  0.1881
Zr  0.6623  0.6617  0.8147
Zr  0.3263  0.3278  0.6873
Zr  0.5022  0.0011  0.6415
Zr  0.6677  0.6649  0.3093
Zr  0.1654  0.6711  0.0241
S  0.9741  0.6174  0.0821
S  0.3325  0.6197  0.5819
S  0.3560  0.7134  0.2501
S  0.9984  0.2833  0.2514
S  0.6875  0.3279  0.0814
S  0.4988  0.2870  0.2490
S  0.8567  0.7126  0.2500
S  0.9788  0.3280  0.5825
S  0.5186  0.6589  0.4168
S  0.8374  0.6312  0.5841
S  0.3117  0.9601  0.4168
S  0.6680  0.9609  0.9172
S  0.8550  0.9986  0.7500
S  0.6449  0.2881  0.7508
S  0.3574  0.0012  0.7502
S  0.8112  0.6628  0.9169
S  0.1870  0.0443  0.5811
S  0.8137  0.9550  0.4162
S  0.8333  0.0449  0.0815
S  0.4779  0.6286  0.0831
S  0.3382  0.0447  0.0842
S  0.1685  0.3757  0.4173
S  0.4753  0.3332  0.5827
S  0.9981  0.7097  0.7492
S  0.4996  0.7142  0.7511
S  0.3132  0.6709  0.9165
S  0.0184  0.3785  0.9171
Si  0.1672  0.9531  0.9165
Si  0.5192  0.3659  0.9163
Si  0.0188  0.6735  0.4157
Si  0.1420  0.2879  0.7475
Si  0.6422  0.9968  0.2474
Si  0.1445  0.0035  0.2528
Si  0.6893  0.0407  0.5817
Si  0.1882  0.3358  0.0817
Si  0.6658  0.3797  0.4161
O  0.2711  0.6928  0.9681
O  0.9080  0.0275  0.8017
O  0.1599  0.4681  0.4698
O  0.8204  0.1276  0.4234
O  0.4089  0.7930  0.5937
O  0.7706  0.6905  0.9683
O  0.4854  0.7904  0.8026
O  0.5125  0.2127  0.1971
O  0.1832  0.8741  0.5757
O  0.5922  0.2087  0.6986
O  0.5804  0.1917  0.4088
O  0.7285  0.3051  0.0302
O  0.0739  0.6876  0.7586
O  0.1012  0.1699  0.8057
O  0.6006  0.1817  0.0882
O  0.0729  0.4555  0.9685
O  0.3206  0.1325  0.4242
O  0.3233  0.1256  0.1350
O  0.6832  0.4914  0.0755
O  0.7500  0.3556  0.4214
O  0.9350  0.5114  0.1340
O  0.4257  0.5417  0.0314
O  0.0767  0.4562  0.2568
O  0.0936  0.1696  0.0923
O  0.2711  0.8520  0.4692
O  0.9324  0.3599  0.9231
O  0.4357  0.3591  0.6350
O  0.2706  0.8493  0.7562
O  0.5092  0.8133  0.4090
O  0.9209  0.5322  0.7436
O  0.7702  0.8492  0.4684
O  0.3496  0.5445  0.5315
O  0.4286  0.3629  0.9232
O  0.2688  0.6847  0.2601
O  0.7408  0.1704  0.2418
O  0.9235  0.3143  0.2410
O  0.8908  0.9713  0.6974
O  0.8952  0.8178  0.9073
O  0.0891  0.2095  0.4144
O  0.4414  0.5210  0.1347
O  0.6069  0.1811  0.8017
O  0.5755  0.4599  0.2586
O  0.1006  0.0194  0.5887
O  0.3990  0.8219  0.9099
O  0.2462  0.3585  0.4249
O  0.1548  0.8364  0.9725
O  0.2410  0.3119  0.7418
O  0.7555  0.8739  0.0735
O  0.7337  0.3135  0.7422
O  0.8191  0.1276  0.1336
O  0.3961  0.9737  0.4087
O  0.0111  0.8097  0.6973
O  0.0614  0.6383  0.0759
O  0.4135  0.0234  0.0909
O  0.7585  0.6433  0.5766
O  0.0860  0.9714  0.1947
O  0.1578  0.4789  0.7621
O  0.6559  0.4634  0.7579
O  0.0674  0.6390  0.3618
O  0.2593  0.8740  0.0757
O  0.1824  0.4835  0.3658
O  0.9251  0.3087  0.5323
O  0.6546  0.4715  0.4732
O  0.4096  0.7934  0.3018
O  0.8501  0.5486  0.5327
O  0.5113  0.8185  0.6987
O  0.8456  0.5348  0.2408
O  0.2420  0.1274  0.6340
O  0.4841  0.1795  0.3012
O  0.7479  0.1352  0.6395
O  0.3503  0.1509  0.0319
O  0.6574  0.8519  0.9684
O  0.9234  0.5410  0.0302
O  0.9813  0.1807  0.3025
O  0.7690  0.6888  0.2563
O  0.7585  0.8763  0.3649
O  0.1780  0.5030  0.0716
O  0.0090  0.2034  0.1983
O  0.2570  0.8762  0.3658
O  0.4873  0.8006  0.0878
O  0.0652  0.4849  0.5761
O  0.2430  0.1676  0.2423
O  0.1071  0.0469  0.3074
O  0.2485  0.3648  0.1382
O  0.8230  0.5188  0.6356
O  0.5659  0.6479  0.0743
O  0.9834  0.7896  0.0905
O  0.5623  0.4845  0.5763
O  0.4858  0.1795  0.5934
O  0.6573  0.8369  0.2625
O  0.8943  0.8153  0.1976
O  0.6013  0.0328  0.3057
O  0.2571  0.6405  0.5753
O  0.5130  0.1816  0.9116
O  0.9829  0.7871  0.8013
O  0.7352  0.1674  0.5286
O  0.0875  0.2059  0.6912
O  0.4231  0.3120  0.2434
O  0.7559  0.6383  0.8649
O  0.5955  0.0229  0.5959
O  0.2290  0.1528  0.5310
O  0.9864  0.1738  0.5892
O  0.3497  0.5389  0.2445
O  0.3974  0.9772  0.6981
O  0.9129  0.8023  0.5923
O  0.6814  0.8769  0.8646
O  0.0608  0.4847  0.8652
O  0.3916  0.8134  0.1977
O  0.0812  0.6933  0.4722
O  0.8987  0.9755  0.4103
O  0.6767  0.8516  0.5736
O  0.9283  0.4940  0.4250
O  0.8479  0.1528  0.0308
O  0.4329  0.5054  0.4241
O  0.8462  0.1590  0.7439
O  0.5777  0.6971  0.7576
O  0.5825  0.4715  0.9715
O  0.3209  0.5133  0.6346
O  0.5894  0.9708  0.9101
O  0.3470  0.1569  0.7413
O  0.6799  0.4993  0.3606
O  0.0812  0.9692  0.9085
O  0.4245  0.5369  0.7416
O  0.5879  0.9692  0.1910
O  0.9077  0.0231  0.0928
O  0.4231  0.3024  0.5313
O  0.7675  0.8502  0.7599
O  0.3211  0.5136  0.9226
O  0.7422  0.3573  0.1336
O  0.2354  0.3047  0.0275
O  0.1578  0.8357  0.2586
O  0.2510  0.1459  0.9211
O  0.5692  0.4951  0.8607
O  0.9392  0.3595  0.6352
O  0.4093  0.0310  0.8018
O  0.5733  0.6907  0.4688
O  0.9066  0.7841  0.3020
O  0.2591  0.6417  0.8645
O  0.0088  0.2049  0.9084
O  0.7458  0.1325  0.9226
O  0.1801  0.8620  0.8599
O  0.8195  0.5077  0.9228
O  0.0084  0.8406  0.4150
O  0.5608  0.6364  0.3656
Zn  0.4999  0.0123  0.8556
Zn  0.0104  0.9875  0.3527
Zn  0.8333  0.3325  0.9857
Zn  0.0045  0.0100  0.6524
Zn  0.5029  0.9955  0.1538
Zn  0.3307  0.3300  0.4813
Na  0.0020  0.9944  0.4947
Na  0.8325  0.3369  0.3356
Na  0.3278  0.3265  0.3347
Na  0.8342  0.3334  0.8378
Na  0.3308  0.3263  0.8377
Na  0.5007  0.0074  0.9987

- Total energy after the MP2020 corrections: -7.521 eV/atom
- Total moment: 0.000 μB per cell
- Space group: P1 (1)
- Energy: -7.05 eV per atom
- Calculated formation energy: -2.557 eV per atom

***

Record 2
Crystalline MoW2Se4S2 at its relaxed geometry, computed with GGA-PBE.

Cell: 3.2750 3.2750 30.2204 Å, 90.00 90.00 120.00°
Fractional coordinates of all 9 atoms:
Se  0.6667  0.3333  0.5220
Se  0.3333  0.6667  0.4029
Se  0.6667  0.3333  0.6346
Se  0.3333  0.6667  0.2911
Mo  0.6667  0.3333  0.3470
W  0.3333  0.6667  0.5783
W  0.3333  0.6667  0.1156
S  0.6667  0.3333  0.1668
S  0.6667  0.3333  0.0645

- Total energy after the MP2020 corrections: -7.339 eV/atom
- Total moment: 0.000 μB per cell
- Space group: P3m1 (156)
- Energy: -7.23 eV per atom
- Calculated formation energy: -0.782 eV per atom
- Excess energy over the best structure of this formula in the dataset: 0.0004 eV/atom

***

Record 3
Crystalline LaGaS3 at its relaxed geometry, computed with GGA-PBE.

Cell: 10.6139 10.4370 12.9429 Å, 81.16 90.00 90.00°
Fractional coordinates of all 60 atoms:
S  0.6622  0.0061  0.0139
S  0.7782  0.7067  0.4238
S  0.1622  0.9939  0.4861
S  0.9119  0.3318  0.5451
S  0.7218  0.7067  0.9238
S  0.4066  0.2474  0.3259
S  0.2667  0.8949  0.7494
S  0.8378  0.0061  0.5139
S  0.9510  0.7508  0.6771
S  0.9863  0.9411  0.8916
S  0.9237  0.3954  0.0823
S  0.7333  0.1051  0.2506
S  0.9066  0.7526  0.1741
S  0.3101  0.5645  0.7057
S  0.4510  0.2492  0.8229
S  0.5934  0.7526  0.6741
S  0.8101  0.4355  0.7943
S  0.0881  0.6682  0.4549
S  0.5881  0.3318  0.0451
S  0.4863  0.0589  0.6083
S  0.0490  0.2492  0.3229
S  0.1899  0.5645  0.2057
S  0.0763  0.6046  0.9177
S  0.5763  0.3954  0.5823
S  0.5137  0.9411  0.3916
S  0.6899  0.4355  0.2943
S  0.4119  0.6682  0.9549
S  0.2218  0.2933  0.5762
S  0.2782  0.2933  0.0762
S  0.7667  0.1051  0.7506
S  0.4237  0.6046  0.4177
S  0.2333  0.8949  0.2494
S  0.0137  0.0589  0.1084
S  0.0934  0.2474  0.8259
S  0.3378  0.9939  0.9861
S  0.5490  0.7508  0.1771
La  0.0528  0.4845  0.6751
La  0.4472  0.4845  0.1751
La  0.1440  0.8139  0.0585
La  0.4694  0.0572  0.1722
La  0.3560  0.8139  0.5585
La  0.9694  0.9428  0.3278
La  0.5306  0.9428  0.8278
La  0.6440  0.1861  0.4415
La  0.0306  0.0572  0.6722
La  0.9472  0.5155  0.3249
La  0.5528  0.5155  0.8249
La  0.8560  0.1861  0.9415
Ga  0.7467  0.3133  0.1689
Ga  0.2467  0.6867  0.3311
Ga  0.7533  0.3133  0.6689
Ga  0.9186  0.7481  0.8540
Ga  0.7292  0.8014  0.0764
Ga  0.5814  0.7481  0.3540
Ga  0.2708  0.1986  0.9236
Ga  0.2533  0.6867  0.8311
Ga  0.2292  0.1986  0.4236
Ga  0.7708  0.8014  0.5764
Ga  0.4186  0.2519  0.6460
Ga  0.0814  0.2519  0.1460

- Total energy after the MP2020 corrections: -5.824 eV/atom
- Space group: P2_1/c (14)
- Energy: -5.52 eV per atom
- Calculated formation energy: -1.750 eV per atom
- Excess energy over the best structure of this formula in the dataset: 0.0000 eV/atom

***

Record 4
Crystalline HfCrSi2 at its relaxed geometry, computed with GGA-PBE.

Cell: 7.9962 9.0546 9.7250 Å, 90.00 90.00 90.00°
Fractional coordinates of all 48 atoms:
Si  0.0000  0.3864  0.9020
Si  0.5000  0.5394  0.3804
Si  0.5000  0.9606  0.8804
Si  0.8511  0.6711  0.8189
Si  0.5000  0.1266  0.3960
Si  0.1489  0.1711  0.6811
Si  0.8511  0.1711  0.6811
Si  0.0000  0.5396  0.3765
Si  0.5000  0.8734  0.6040
Si  0.5000  0.4606  0.6196
Si  0.8511  0.3289  0.1811
Si  0.0000  0.8864  0.5980
Si  0.1489  0.8289  0.3189
Si  0.0000  0.4604  0.6235
Si  0.5000  0.3734  0.8960
Si  0.1489  0.3289  0.1811
Si  0.0000  0.1136  0.4020
Si  0.1489  0.6711  0.8189
Si  0.5000  0.6266  0.1040
Si  0.0000  0.9604  0.8765
Si  0.0000  0.6136  0.0980
Si  0.0000  0.0396  0.1235
Si  0.8511  0.8289  0.3189
Si  0.5000  0.0394  0.1196
Hf  0.5000  0.3309  0.1797
Hf  0.2537  0.6718  0.5480
Hf  0.2537  0.8282  0.0480
Hf  0.7463  0.3282  0.4520
Hf  0.5000  0.1691  0.6797
Hf  0.5000  0.8309  0.3203
Hf  0.2537  0.3282  0.4520
Hf  0.5000  0.6691  0.8203
Hf  0.7463  0.6718  0.5480
Hf  0.2537  0.1718  0.9520
Hf  0.7463  0.8282  0.0480
Hf  0.7463  0.1718  0.9520
Cr  0.2514  0.9206  0.7480
Cr  0.2555  0.0000  0.5000
Cr  0.7445  0.5000  0.0000
Cr  0.7445  0.0000  0.5000
Cr  0.7486  0.0794  0.2520
Cr  0.7486  0.5794  0.2480
Cr  0.2514  0.0794  0.2520
Cr  0.2514  0.5794  0.2480
Cr  0.7486  0.9206  0.7480
Cr  0.2514  0.4206  0.7520
Cr  0.2555  0.5000  0.0000
Cr  0.7486  0.4206  0.7520

- Total energy after the MP2020 corrections: -8.182 eV/atom
- Total moment: 0.000 μB per cell
- Space group: Pbam (55)
- Energy: -8.22 eV per atom
- Calculated formation energy: -0.567 eV per atom